[1]
# Sm3OsO7, relaxed, DFT PBE
# Formation enthalpy at 0 K: -3.13 eV per atom
# Energy with MP2020 corrections: -94.49 eV per formula unit
data_Sm3OsO7
_cell_length_a 15.032
_cell_length_b 7.502
_cell_length_c 10.810
_cell_angle_alpha 90.00
_cell_angle_beta 90.00
_cell_angle_gamma 90.00
_space_group_name_H-M_alt 'P n a 21'
_space_group_IT_number 33
loop_
_space_group_symop_operation_xyz
'x,y,z'
'-x,-y,z+1/2'
'-x+1/2,y+1/2,z+1/2'
'x+1/2,-y+1/2,z'
loop_
_atom_site_label
_atom_site_fract_x
_atom_site_fract_y
_atom_site_fract_z
_atom_site_occupancy
Sm1 0.022 0.235 0.000 1
Sm2 0.027 0.251 0.550 1
Sm3 0.110 0.497 0.273 1
Sm4 0.139 0.997 0.289 1
Sm5 0.223 0.757 0.012 1
Sm6 0.229 0.757 0.561 1
Os1 0.125 0.502 0.782 1
Os2 0.126 0.002 0.779 1
O1 0.016 0.962 0.882 1
O2 0.031 0.532 0.909 1
O3 0.032 0.540 0.655 1
O4 0.062 0.959 0.624 1
O5 0.084 0.251 0.771 1
O6 0.106 0.766 0.147 1
O7 0.120 0.735 0.412 1
O8 0.130 0.241 0.150 1
O9 0.143 0.264 0.414 1
O10 0.167 0.752 0.789 1
O11 0.191 0.049 0.932 1
O12 0.220 0.466 0.911 1
O13 0.221 0.467 0.657 1
O14 0.236 0.038 0.676 1

***

[2]
# SrOsO2, relaxed, DFT PBE
# Formation enthalpy at 0 K: -1.48 eV per atom
# Energy with MP2020 corrections: -28.73 eV per formula unit
data_SrOsO2
_cell_length_a 6.232
_cell_length_b 6.232
_cell_length_c 12.398
_cell_angle_alpha 90.00
_cell_angle_beta 90.00
_cell_angle_gamma 90.00
_space_group_name_H-M_alt 'I 41/a m d'
_space_group_IT_number 141
loop_
_space_group_symop_operation_xyz
'x,y,z'
'-x,-y,-z'
'-y+1/4,x+3/4,z+1/4'
'y+1/4,-x+3/4,-z+1/4'
'-x+1/2,-y,z+1/2'
'x+1/2,y,-z+1/2'
'y+1/4,-x+1/4,z+3/4'
'-y+1/4,x+1/4,-z+3/4'
'x,-y,-z'
'-x,y,z'
'-y+1/4,-x+1/4,-z+3/4'
'y+1/4,x+1/4,z+3/4'
'-x+1/2,y,-z+1/2'
'x+1/2,-y,z+1/2'
'y+1/4,x+3/4,-z+1/4'
'-y+1/4,-x+3/4,z+1/4'
'x+1/2,y+1/2,z+1/2'
'-x+1/2,-y+1/2,-z+1/2'
'-y+3/4,x+1/4,z+3/4'
'y+3/4,-x+1/4,-z+3/4'
'-x,-y+1/2,z'
'x,y+1/2,-z'
'y+3/4,-x+3/4,z+1/4'
'-y+3/4,x+3/4,-z+1/4'
'x+1/2,-y+1/2,-z+1/2'
'-x+1/2,y+1/2,z+1/2'
'-y+3/4,-x+3/4,-z+1/4'
'y+3/4,x+3/4,z+1/4'
'-x,y+1/2,-z'
'x,-y+1/2,z'
'y+3/4,x+1/4,-z+3/4'
'-y+3/4,-x+1/4,z+3/4'
loop_
_atom_site_label
_atom_site_fract_x
_atom_site_fract_y
_atom_site_fract_z
_atom_site_occupancy
Sr1 0.000 0.000 0.000 1
Os1 0.000 0.000 0.500 1
O1 0.000 0.050 0.202 1

***

[3]
# TbOsO3, relaxed, DFT PBE
# Formation enthalpy at 0 K: -1.88 eV per atom
# Energy with MP2020 corrections: -40.11 eV per formula unit
data_TbOsO3
_cell_length_a 3.964
_cell_length_b 3.964
_cell_length_c 3.964
_cell_angle_alpha 90.00
_cell_angle_beta 90.00
_cell_angle_gamma 90.00
_space_group_name_H-M_alt 'P m -3 m'
_space_group_IT_number 221
_space_group_name_Hall '-P 4 2 3'
loop_
_atom_site_label
_atom_site_fract_x
_atom_site_fract_y
_atom_site_fract_z
_atom_site_occupancy
Tb1 0.000 0.000 0.000 1
Os1 0.500 0.500 0.500 1
O1 0.000 0.500 0.500 1

***

[4]
# YOsO3, relaxed, DFT PBE
# Formation enthalpy at 0 K: -1.86 eV per atom
# Energy with MP2020 corrections: -41.81 eV per formula unit
data_YOsO3
_cell_length_a 3.964
_cell_length_b 3.964
_cell_length_c 3.964
_cell_angle_alpha 90.00
_cell_angle_beta 90.00
_cell_angle_gamma 90.00
_space_group_name_H-M_alt 'P m -3 m'
_space_group_IT_number 221
_space_group_name_Hall '-P 4 2 3'
loop_
_atom_site_label
_atom_site_fract_x
_atom_site_fract_y
_atom_site_fract_z
_atom_site_occupancy
Y1 0.000 0.000 0.000 1
Os1 0.500 0.500 0.500 1
O1 0.000 0.500 0.500 1